# 1
# DyGaNi, optimized geometry, DFT PBE
data_DyGaNi
_space_group_name_H-M_alt 'P 1'
_space_group_IT_number 1
_space_group_name_Hall 'P 1'
_cell_length_a 4.246
_cell_length_b 6.643
_cell_length_c 7.130
_cell_angle_alpha 90.00
_cell_angle_beta 90.00
_cell_angle_gamma 90.00
loop_
_atom_site_label
_atom_site_fract_x
_atom_site_fract_y
_atom_site_fract_z
Dy1 0.250 0.519 0.699
Dy2 0.250 0.019 0.801
Dy3 0.750 0.481 0.301
Dy4 0.750 0.981 0.199
Ni1 0.250 0.296 0.092
Ni2 0.250 0.796 0.408
Ni3 0.750 0.704 0.908
Ni4 0.750 0.204 0.592
Ga1 0.750 0.318 0.920
Ga2 0.750 0.818 0.580
Ga3 0.250 0.182 0.420
Ga4 0.250 0.682 0.080
# * symmetry: Pnma (62)
# * energy: -61.0 eV for the cell shown



# 2
# Na2Al2Si3H4O12, optimized geometry, DFT PBE
data_Na2Al2Si3H4O12
_space_group_name_H-M_alt 'P 1'
_space_group_IT_number 1
_space_group_name_Hall 'P 1'
_cell_length_a 9.207
_cell_length_b 8.178
_cell_length_c 8.433
_cell_angle_alpha 95.83
_cell_angle_beta 73.84
_cell_angle_gamma 78.56
loop_
_atom_site_label
_atom_site_fract_x
_atom_site_fract_y
_atom_site_fract_z
Na1 0.296 0.989 0.253
Na2 0.586 0.414 0.784
Na3 0.784 0.013 0.679
Na4 0.667 0.771 0.047
H1 0.049 0.666 0.586
H2 0.680 0.193 0.496
H3 0.059 0.374 0.922
H4 0.131 0.923 0.793
H5 0.991 0.620 0.166
H6 0.467 0.437 0.116
H7 0.907 0.794 0.355
H8 0.437 0.788 0.393
O1 0.827 0.383 0.574
O2 0.255 0.338 0.625
O3 0.676 0.644 0.670
O4 0.025 0.557 0.559
O5 0.628 0.815 0.781
O6 0.863 0.232 0.440
O7 0.810 0.214 0.897
O8 0.340 0.164 0.813
O9 0.847 0.788 0.470
O10 0.597 0.179 0.592
O11 0.900 0.494 0.302
O12 0.291 0.507 0.895
O13 0.333 0.867 0.693
O14 0.460 0.717 0.277
O15 0.014 0.941 0.837
O16 0.380 0.941 0.536
O17 0.284 0.838 0.997
O18 0.152 0.267 0.304
O19 0.033 0.714 0.119
O20 0.753 0.018 0.121
O21 0.482 0.031 0.026
O22 0.644 0.317 0.023
O23 0.436 0.201 0.348
O24 0.989 0.169 0.110
Si1 0.849 0.587 0.510
Si2 0.896 0.079 0.999
Si3 0.227 0.673 0.053
Si4 0.982 0.290 0.278
Si5 0.225 0.348 0.829
Si6 0.351 0.579 0.250
Al1 0.415 0.943 0.863
Al2 0.566 0.153 0.135
Al3 0.243 0.383 0.424
Al4 0.425 0.145 0.558
# * symmetry: P1 (1)
# * energy: -278.8 eV for the cell shown



# 3
# BaTm2Te4, optimized geometry, DFT PBE
data_BaTm2Te4
_space_group_name_H-M_alt 'P 1'
_space_group_IT_number 1
_space_group_name_Hall 'P 1'
_cell_length_a 4.450
_cell_length_b 13.745
_cell_length_c 16.175
_cell_angle_alpha 90.00
_cell_angle_beta 90.00
_cell_angle_gamma 90.00
loop_
_atom_site_label
_atom_site_fract_x
_atom_site_fract_y
_atom_site_fract_z
Te1 0.250 0.972 0.284
Te2 0.750 0.028 0.716
Te3 0.250 0.090 0.925
Te4 0.750 0.204 0.158
Te5 0.750 0.704 0.342
Te6 0.750 0.626 0.028
Te7 0.250 0.874 0.528
Te8 0.750 0.528 0.784
Te9 0.250 0.472 0.216
Te10 0.250 0.590 0.575
Te11 0.250 0.796 0.842
Te12 0.750 0.910 0.075
Te13 0.250 0.296 0.658
Te14 0.750 0.126 0.472
Te15 0.250 0.374 0.972
Te16 0.750 0.410 0.425
Tm1 0.250 0.081 0.596
Tm2 0.750 0.919 0.404
Tm3 0.250 0.581 0.904
Tm4 0.250 0.558 0.390
Tm5 0.750 0.442 0.610
Tm6 0.750 0.419 0.096
Tm7 0.750 0.942 0.890
Tm8 0.250 0.058 0.110
Ba1 0.750 0.262 0.830
Ba2 0.750 0.762 0.670
Ba3 0.250 0.238 0.330
Ba4 0.250 0.738 0.170
# * symmetry: Pnma (62)
# * energy: -136.2 eV for the cell shown



# 4
# Na3AlF6, optimized geometry, DFT PBE
data_Na3AlF6
_space_group_name_H-M_alt 'P 1'
_space_group_IT_number 1
_space_group_name_Hall 'P 1'
_cell_length_a 5.666
_cell_length_b 5.666
_cell_length_c 5.666
_cell_angle_alpha 60.00
_cell_angle_beta 60.00
_cell_angle_gamma 60.00
loop_
_atom_site_label
_atom_site_fract_x
_atom_site_fract_y
_atom_site_fract_z
Na1 0.250 0.250 0.250
Na2 0.500 0.500 0.500
Na3 0.750 0.750 0.750
F1 0.773 0.227 0.227
F2 0.227 0.773 0.227
F3 0.227 0.227 0.773
F4 0.773 0.227 0.773
F5 0.773 0.773 0.227
F6 0.227 0.773 0.773
Al1 0.000 0.000 0.000
# * symmetry: Fm-3m (225)
# * energy: -49.7 eV for the cell shown



# 5
# Tm2RuAu, optimized geometry, DFT PBE
data_Tm2RuAu
_space_group_name_H-M_alt 'P 1'
_space_group_IT_number 1
_space_group_name_Hall 'P 1'
_cell_length_a 4.885
_cell_length_b 4.885
_cell_length_c 4.885
_cell_angle_alpha 60.00
_cell_angle_beta 60.00
_cell_angle_gamma 60.00
loop_
_atom_site_label
_atom_site_fract_x
_atom_site_fract_y
_atom_site_fract_z
Ru1 0.000 0.000 0.000
Tm1 0.750 0.750 0.750
Tm2 0.250 0.250 0.250
Au1 0.500 0.500 0.500
# * symmetry: Fm-3m (225)
# * energy: -24.1 eV for the cell shown



# 6
# BaCa2I6, optimized geometry, DFT PBE
data_BaCa2I6
_space_group_name_H-M_alt 'P 1'
_space_group_IT_number 1
_space_group_name_Hall 'P 1'
_cell_length_a 8.589
_cell_length_b 8.199
_cell_length_c 14.297
_cell_angle_alpha 56.04
_cell_angle_beta 90.00
_cell_angle_gamma 90.00
loop_
_atom_site_label
_atom_site_fract_x
_atom_site_fract_y
_atom_site_fract_z
Ca1 0.264 0.266 0.750
Ca2 0.775 0.768 0.749
Ca3 0.736 0.266 0.250
Ca4 0.225 0.768 0.249
I1 0.793 0.633 0.004
I2 0.289 0.900 0.001
I3 0.531 0.510 0.314
I4 0.586 0.138 0.701
I5 0.903 0.990 0.196
I6 0.711 0.900 0.501
I7 0.968 0.390 0.823
I8 0.414 0.138 0.201
I9 0.032 0.390 0.323
I10 0.469 0.510 0.814
I11 0.097 0.990 0.696
I12 0.207 0.633 0.504
Ba1 0.670 0.058 0.977
Ba2 0.330 0.058 0.477
# * symmetry: Pc (7)
# * energy: -59.7 eV for the cell shown
# * largest piezoelectric modulus: 0.93 C/m2



Question: Look up the energy of the third one.
Answer: -136.2 eV for the cell shown